(1)
# Tm6Ga17Pd5 (PBE-GGA, relaxed)
# - total DFT energy (no corrections) (eV/atom) = -4.39
# - total magnetic moment (μB/f.u.) = 0.05
# - calculated formation energy (meV per atom) = -664
data_Tm6Ga17Pd5
_chemical_formula_sum 'Tm12 Ga34 Pd10'
_cell_length_a 15.749
_cell_length_b 4.261
_cell_length_c 15.670
_cell_angle_alpha 90.00
_cell_angle_beta 104.46
_cell_angle_gamma 90.00
_symmetry_space_group_name_H-M 'C 1 2/m 1'
_symmetry_Int_Tables_number 12
loop_
_symmetry_equiv_pos_as_xyz
'x,y,z'
'-x,-y,-z'
'-x,y,-z'
'x,-y,z'
'x+1/2,y+1/2,z'
'-x+1/2,-y+1/2,-z'
'-x+1/2,y+1/2,-z'
'x+1/2,-y+1/2,z'
loop_
_atom_site_label
_atom_site_type_symbol
_atom_site_fract_x
_atom_site_fract_y
_atom_site_fract_z
Tm1 Tm 0.096 0.000 0.404
Tm2 Tm 0.100 0.500 0.900
Tm3 Tm 0.249 0.500 0.748
Ga1 Ga 0.000 0.000 0.000
Ga2 Ga 0.040 0.000 0.179
Ga3 Ga 0.042 0.500 0.674
Ga4 Ga 0.105 0.500 0.262
Ga5 Ga 0.106 0.000 0.764
Ga6 Ga 0.174 0.500 0.542
Ga7 Ga 0.179 0.000 0.040
Ga8 Ga 0.235 0.500 0.396
Ga9 Ga 0.240 0.000 0.894
Pd1 Pd 0.000 0.500 0.500
Pd2 Pd 0.090 0.500 0.090
Pd3 Pd 0.101 0.000 0.601

---

(2)
# UGa3Pd2 (PBE-GGA, relaxed)
# - total DFT energy (no corrections) (eV/atom) = -5.58
# - total magnetic moment (μB/f.u.) = 2.29
# - calculated formation energy (meV per atom) = -458
data_UGa3Pd2
_chemical_formula_sum 'U1 Ga3 Pd2'
_cell_length_a 5.3355
_cell_length_b 5.3355
_cell_length_c 4.3077
_cell_angle_alpha 90.00
_cell_angle_beta 90.00
_cell_angle_gamma 120.00
_symmetry_space_group_name_H-M 'P 6/m m m'
_symmetry_Int_Tables_number 191
_symmetry_space_group_name_Hall '-P 6 2'
loop_
_atom_site_label
_atom_site_type_symbol
_atom_site_fract_x
_atom_site_fract_y
_atom_site_fract_z
U1 U 0.0000 0.0000 0.0000
Ga1 Ga 0.0000 0.5000 0.5000
Pd1 Pd 0.3333 0.6667 0.0000

---

(3)
# UGaPd (PBE-GGA, relaxed)
# - total DFT energy (no corrections) (eV/atom) = -6.88
# - total magnetic moment (μB/f.u.) = 2.26
# - calculated formation energy (meV per atom) = -383
data_UGaPd
_chemical_formula_sum 'U3 Ga3 Pd3'
_cell_length_a 6.9464
_cell_length_b 6.9464
_cell_length_c 4.2151
_cell_angle_alpha 90.00
_cell_angle_beta 90.00
_cell_angle_gamma 120.00
_symmetry_space_group_name_H-M 'P -6 2 m'
_symmetry_Int_Tables_number 189
_symmetry_space_group_name_Hall 'P -6 -2'
loop_
_atom_site_label
_atom_site_type_symbol
_atom_site_fract_x
_atom_site_fract_y
_atom_site_fract_z
U1 U 0.0000 0.4270 0.0000
Ga1 Ga 0.0000 0.7615 0.5000
Pd1 Pd 0.0000 0.0000 0.0000
Pd2 Pd 0.3333 0.6667 0.5000

---

(4)
# U4Ga20Pd11 (PBE-GGA, relaxed)
# - total DFT energy (no corrections) (eV/atom) = -5.10
# - total magnetic moment (μB/f.u.) = 5.24
# - calculated formation energy (meV per atom) = -447
data_U4Ga20Pd11
_chemical_formula_sum 'U8 Ga40 Pd22'
_cell_length_a 21.753
_cell_length_b 4.200
_cell_length_c 16.295
_cell_angle_alpha 90.00
_cell_angle_beta 124.92
_cell_angle_gamma 90.00
_symmetry_space_group_name_H-M 'C 1 2/m 1'
_symmetry_Int_Tables_number 12
loop_
_symmetry_equiv_pos_as_xyz
'x,y,z'
'-x,-y,-z'
'-x,y,-z'
'x,-y,z'
'x+1/2,y+1/2,z'
'-x+1/2,-y+1/2,-z'
'-x+1/2,y+1/2,-z'
'x+1/2,-y+1/2,z'
loop_
_atom_site_label
_atom_site_type_symbol
_atom_site_fract_x
_atom_site_fract_y
_atom_site_fract_z
U1 U 0.122 0.000 0.338
U2 U 0.228 0.000 0.822
Ga1 Ga 0.003 0.000 0.085
Ga2 Ga 0.043 0.500 0.377
Ga3 Ga 0.067 0.000 0.803
Ga4 Ga 0.103 0.000 0.546
Ga5 Ga 0.106 0.500 0.000
Ga6 Ga 0.114 0.500 0.694
Ga7 Ga 0.132 0.500 0.203
Ga8 Ga 0.200 0.500 0.500
Ga9 Ga 0.201 0.000 0.011
Ga10 Ga 0.249 0.500 0.708
Pd1 Pd 0.000 0.500 0.500
Pd2 Pd 0.003 0.500 0.185
Pd3 Pd 0.029 0.000 0.627
Pd4 Pd 0.131 0.000 0.107
Pd5 Pd 0.156 0.500 0.888
Pd6 Pd 0.241 0.000 0.612

---

(5)
# UGaPd2 (PBE-GGA, relaxed)
# - total DFT energy (no corrections) (eV/atom) = -6.62
# - total magnetic moment (μB/f.u.) = 2.59
# - calculated formation energy (meV per atom) = -448
data_UGaPd2
_chemical_formula_sum 'U4 Ga4 Pd8'
_cell_length_a 7.592
_cell_length_b 6.959
_cell_length_c 5.705
_cell_angle_alpha 90.00
_cell_angle_beta 90.00
_cell_angle_gamma 90.00
_symmetry_space_group_name_H-M 'P n m a'
_symmetry_Int_Tables_number 62
loop_
_symmetry_equiv_pos_as_xyz
'x,y,z'
'-x,-y,-z'
'-x+1/2,-y,z+1/2'
'x+1/2,y,-z+1/2'
'x+1/2,-y+1/2,-z+1/2'
'-x+1/2,y+1/2,z+1/2'
'-x,y+1/2,-z'
'x,-y+1/2,z'
loop_
_atom_site_label
_atom_site_type_symbol
_atom_site_fract_x
_atom_site_fract_y
_atom_site_fract_z
U1 U 0.040 0.250 0.152
Ga1 Ga 0.112 0.750 0.341
Pd1 Pd 0.181 0.048 0.586

---

(6)
# Y6Ga17Pd5 (PBE-GGA, relaxed)
# - total DFT energy (no corrections) (eV/atom) = -4.84
# - calculated formation energy (meV per atom) = -692
data_Y6Ga17Pd5
_chemical_formula_sum 'Y12 Ga34 Pd10'
_cell_length_a 15.758
_cell_length_b 4.338
_cell_length_c 15.766
_cell_angle_alpha 90.00
_cell_angle_beta 104.72
_cell_angle_gamma 90.00
_symmetry_space_group_name_H-M 'C 1 2/m 1'
_symmetry_Int_Tables_number 12
loop_
_symmetry_equiv_pos_as_xyz
'x,y,z'
'-x,-y,-z'
'-x,y,-z'
'x,-y,z'
'x+1/2,y+1/2,z'
'-x+1/2,-y+1/2,-z'
'-x+1/2,y+1/2,-z'
'x+1/2,-y+1/2,z'
loop_
_atom_site_label
_atom_site_type_symbol
_atom_site_fract_x
_atom_site_fract_y
_atom_site_fract_z
Y1 Y 0.097 0.000 0.403
Y2 Y 0.101 0.500 0.899
Y3 Y 0.250 0.000 0.251
Ga1 Ga 0.000 0.000 0.000
Ga2 Ga 0.040 0.000 0.178
Ga3 Ga 0.042 0.500 0.672
Ga4 Ga 0.103 0.500 0.261
Ga5 Ga 0.106 0.000 0.763
Ga6 Ga 0.172 0.500 0.541
Ga7 Ga 0.178 0.000 0.040
Ga8 Ga 0.236 0.500 0.396
Ga9 Ga 0.239 0.000 0.895
Pd1 Pd 0.000 0.500 0.500
Pd2 Pd 0.092 0.500 0.091
Pd3 Pd 0.100 0.000 0.600

---

(7)
# YGaPd (PBE-GGA, relaxed)
# - total DFT energy (no corrections) (eV/atom) = -5.79
# - calculated formation energy (meV per atom) = -898
data_YGaPd
_chemical_formula_sum 'Y4 Ga4 Pd4'
_cell_length_a 7.007
_cell_length_b 4.470
_cell_length_c 7.681
_cell_angle_alpha 90.00
_cell_angle_beta 90.00
_cell_angle_gamma 90.00
_symmetry_space_group_name_H-M 'P n m a'
_symmetry_Int_Tables_number 62
loop_
_symmetry_equiv_pos_as_xyz
'x,y,z'
'-x,-y,-z'
'-x+1/2,-y,z+1/2'
'x+1/2,y,-z+1/2'
'x+1/2,-y+1/2,-z+1/2'
'-x+1/2,y+1/2,z+1/2'
'-x,y+1/2,-z'
'x,-y+1/2,z'
loop_
_atom_site_label
_atom_site_type_symbol
_atom_site_fract_x
_atom_site_fract_y
_atom_site_fract_z
Y1 Y 0.014 0.250 0.198
Ga1 Ga 0.173 0.250 0.574
Pd1 Pd 0.224 0.750 0.401

---

(8)
# YGa2Pd (PBE-GGA, relaxed)
# - total DFT energy (no corrections) (eV/atom) = -5.23
# - calculated formation energy (meV per atom) = -808
data_YGa2Pd
_chemical_formula_sum 'Y4 Ga8 Pd4'
_cell_length_a 4.443
_cell_length_b 10.207
_cell_length_c 6.619
_cell_angle_alpha 90.00
_cell_angle_beta 90.00
_cell_angle_gamma 90.00
_symmetry_space_group_name_H-M 'C m c m'
_symmetry_Int_Tables_number 63
_symmetry_space_group_name_Hall '-C 2c 2'
loop_
_atom_site_label
_atom_site_type_symbol
_atom_site_fract_x
_atom_site_fract_y
_atom_site_fract_z
Y1 Y 0.000 0.088 0.250
Ga1 Ga 0.000 0.372 0.053
Pd1 Pd 0.000 0.200 0.750

---

(9)
# Zn3Ga4Pd7 (PBE-GGA, relaxed)
# - total DFT energy (no corrections) (eV/atom) = -4.33
# - total magnetic moment (μB/f.u.) = 0.00
# - calculated formation energy (meV per atom) = -606
data_Zn3Ga4Pd7
_chemical_formula_sum 'Zn9 Ga12 Pd21'
_cell_length_a 11.6458
_cell_length_b 11.6458
_cell_length_c 5.3572
_cell_angle_alpha 90.00
_cell_angle_beta 90.00
_cell_angle_gamma 120.00
_symmetry_space_group_name_H-M 'R 3'
_symmetry_Int_Tables_number 146
_symmetry_space_group_name_Hall 'R 3'
loop_
_atom_site_label
_atom_site_type_symbol
_atom_site_fract_x
_atom_site_fract_y
_atom_site_fract_z
Zn1 Zn 0.1255 0.4327 0.0000
Ga1 Ga 0.0000 0.0000 0.6508
Ga2 Ga 0.0285 0.8010 0.0099
Pd1 Pd 0.0000 0.0000 0.1699
Pd2 Pd 0.0275 0.8000 0.5060
Pd3 Pd 0.1424 0.4487 0.4984

---

(10)
# Pm3Ga (PBE-GGA, relaxed)
# - total DFT energy (no corrections) (eV/atom) = -4.56
# - calculated formation energy (meV per atom) = -240
data_Pm3Ga
_chemical_formula_sum 'Pm3 Ga1'
_cell_length_a 4.832
_cell_length_b 4.832
_cell_length_c 4.832
_cell_angle_alpha 90.00
_cell_angle_beta 90.00
_cell_angle_gamma 90.00
_symmetry_space_group_name_H-M 'P m -3 m'
_symmetry_Int_Tables_number 221
_symmetry_space_group_name_Hall '-P 4 2 3'
loop_
_atom_site_label
_atom_site_type_symbol
_atom_site_fract_x
_atom_site_fract_y
_atom_site_fract_z
Pm1 Pm 0.000 0.000 0.500
Ga1 Ga 0.500 0.500 0.500

---

(11)
# PmGa3 (PBE-GGA, relaxed)
# - total DFT energy (no corrections) (eV/atom) = -4.03
# - calculated formation energy (meV per atom) = -572
data_PmGa3
_chemical_formula_sum 'Pm2 Ga6'
_cell_length_a 6.4334
_cell_length_b 6.4334
_cell_length_c 4.6136
_cell_angle_alpha 90.00
_cell_angle_beta 90.00
_cell_angle_gamma 120.00
_symmetry_space_group_name_H-M 'P 63/m m c'
_symmetry_Int_Tables_number 194
_symmetry_space_group_name_Hall '-P 6c 2c'
loop_
_atom_site_label
_atom_site_type_symbol
_atom_site_fract_x
_atom_site_fract_y
_atom_site_fract_z
Pm1 Pm 0.3333 0.6667 0.2500
Ga1 Ga 0.1444 0.2888 0.7500

---

(12)
# Pm2GaRu (PBE-GGA, relaxed)
# - total DFT energy (no corrections) (eV/atom) = -5.78
# - calculated formation energy (meV per atom) = -331
data_Pm2GaRu
_chemical_formula_sum 'Pm8 Ga4 Ru4'
_cell_length_a 7.172
_cell_length_b 7.172
_cell_length_c 7.172
_cell_angle_alpha 90.00
_cell_angle_beta 90.00
_cell_angle_gamma 90.00
_symmetry_space_group_name_H-M 'F m -3 m'
_symmetry_Int_Tables_number 225
_symmetry_space_group_name_Hall '-F 4 2 3'
loop_
_atom_site_label
_atom_site_type_symbol
_atom_site_fract_x
_atom_site_fract_y
_atom_site_fract_z
Pm1 Pm 0.250 0.250 0.250
Ga1 Ga 0.000 0.000 0.000
Ru1 Ru 0.000 0.000 0.500